Mn2Te3O8 | the Materials Project | meta-GGA r2SCAN | optimized geometry; ΔH_f (0 K) = -1.463 eV per atom; final energy = -344.8 eV for the cell shown; crystal system = monoclinic
1.0
6.426 -2.689 0.000
6.426 2.689 0.000
-1.640 0.000 11.737
Mn Te O
4 6 16
direct
0.030 0.430 0.351
0.430 0.030 0.851
0.570 0.970 0.149
0.970 0.570 0.649
0.053 0.674 0.944
0.145 0.855 0.250
0.326 0.947 0.556
0.674 0.053 0.444
0.855 0.145 0.750
0.947 0.326 0.056
0.000 0.231 0.641
0.000 0.769 0.359
0.005 0.149 0.353
0.149 0.005 0.853
0.165 0.443 0.812
0.231 0.000 0.141
0.246 0.277 0.028
0.277 0.246 0.528
0.443 0.165 0.312
0.557 0.835 0.688
0.723 0.754 0.472
0.754 0.723 0.972
0.769 0.000 0.859
0.835 0.557 0.188
0.851 0.995 0.147
0.995 0.851 0.647